Entry 1:
Mg6VBiO8: relaxed, GGA+U.

Cell lengths 8.829, 4.551, 4.551 Å; angles 90.00, 90.00, 90.00 degrees
Sites, in units of the cell vectors:
Mg: 0.500 0.000 0.000
Mg: 0.500 0.500 0.500
Mg: 0.265 0.000 0.500
Mg: 0.735 0.000 0.500
Mg: 0.265 0.500 0.000
Mg: 0.735 0.500 0.000
V: 0.000 0.000 0.000
Bi: 0.000 0.500 0.500
O: 0.258 0.000 0.000
O: 0.742 0.000 0.000
O: 0.274 0.500 0.500
O: 0.726 0.500 0.500
O: 0.000 0.000 0.500
O: 0.500 0.000 0.500
O: 0.000 0.500 0.000
O: 0.500 0.500 0.000

## Properties
- Crystal system: tetragonal
- Calculated formation energy: -38.620 eV/f.u.
- Spin magnetization: 3.8 μB per formula unit
- Mass density: 4.8 g/cm3

***

Entry 2:
Mn3OF5: relaxed, GGA+U.

Cell lengths 4.890, 5.897, 8.102 Å; angles 86.74, 88.39, 88.71 degrees
Sites, in units of the cell vectors:
Mn: 0.500 0.500 0.000
Mn: 0.517 0.816 0.665
Mn: 0.483 0.184 0.335
Mn: 0.977 0.347 0.678
Mn: 0.023 0.653 0.322
Mn: 0.000 0.000 0.000
O: 0.683 0.536 0.784
O: 0.317 0.464 0.216
F: 0.805 0.369 0.437
F: 0.802 0.035 0.765
F: 0.797 0.701 0.100
F: 0.697 0.205 0.097
F: 0.701 0.874 0.424
F: 0.299 0.126 0.576
F: 0.303 0.795 0.903
F: 0.195 0.631 0.563
F: 0.198 0.965 0.235
F: 0.203 0.299 0.900

## Properties
- Crystal system: triclinic
- Calculated formation energy: -24.493 eV/f.u.
- Spin magnetization: 14.0 μB per formula unit
- Mass density: 3.9 g/cm3

***

Entry 3:
DyCr2O2: relaxed, GGA+U.

Cell lengths 8.362, 8.362, 8.362 Å; angles 99.85, 99.85, 131.13 degrees
Sites, in units of the cell vectors:
Dy: 0.875 0.125 0.250
Dy: 0.875 0.625 0.750
Dy: 0.375 0.125 0.250
Dy: 0.875 0.125 0.750
Cr: 0.452 0.083 0.631
Cr: 0.452 0.821 0.369
Cr: 0.571 0.702 0.869
Cr: 0.298 0.429 0.131
Cr: 0.298 0.167 0.869
Cr: 0.833 0.702 0.131
Cr: 0.179 0.548 0.631
Cr: 0.917 0.548 0.369
O: 0.582 0.396 0.814
O: 0.582 0.769 0.186
O: 0.519 0.832 0.686
O: 0.168 0.481 0.314
O: 0.168 0.854 0.686
O: 0.146 0.832 0.314
O: 0.231 0.418 0.814
O: 0.604 0.418 0.186

## Properties
- Crystal system: tetragonal
- Calculated formation energy: -5.830 eV/f.u.
- Spin magnetization: 8.9 μB per formula unit
- Mass density: 4.9 g/cm3

***

Q: What is the formula in the third record?
A: DyCr2O2